Model one:
Below is BaMg6FeO8 after structural relaxation, with properties calculated at the PBE+U level.

Cell and atoms, written as POSCAR:
```
BaMg6FeO8
1.0
8.8152 0.0000 0.0000
0.0000 4.6713 0.0000
0.0000 0.0000 4.6713
Ba Mg Fe O
1 6 1 8
Direct
0.0000 0.5000 0.5000
0.5000 0.0000 0.0000
0.2658 0.0000 0.5000
0.2658 0.5000 0.0000
0.7342 0.5000 0.0000
0.7342 0.0000 0.5000
0.5000 0.5000 0.5000
0.0000 0.0000 0.0000
0.0000 0.0000 0.5000
0.2831 0.5000 0.5000
0.5000 0.0000 0.5000
0.5000 0.5000 0.0000
0.0000 0.5000 0.0000
0.7452 0.0000 0.0000
0.7169 0.5000 0.5000
0.2548 0.0000 0.0000
```

---

Model two:
Below is BaMg6FeO8 after structural relaxation, with properties calculated at the PBE+U level.

Cell and atoms, written as POSCAR:
```
BaMg6FeO8
1.0
-5.2621 -0.0242 7.0843
-3.7612 -0.1203 -2.7941
0.1042 -4.6855 0.0614
O Mg Fe Ba
8 6 1 1
Direct
0.7529 0.5000 0.5000
0.7805 0.0000 0.0000
0.5000 0.0000 0.5000
0.2195 0.0000 0.0000
0.2471 0.5000 0.5000
0.0000 0.5000 0.0000
0.0000 0.0000 0.5000
0.5000 0.5000 0.0000
0.2330 0.0000 0.5000
0.7670 0.0000 0.5000
0.5000 0.5000 0.5000
0.2330 0.5000 0.0000
0.7670 0.5000 0.0000
0.0000 0.5000 0.5000
0.0000 0.0000 0.0000
0.5000 0.0000 0.0000
```

---

How do the energies compare? Relative to the most stable structure, in kJ/mol of atoms: model one 0.0; model two 1.0.